DFT (GGA-PBE) results for a relaxed structure of MgCuO2.

Properties
crystal system = triclinic
energy = -5.3135 eV per atom
spin magnetization = 3.4 μB/cell
formation energy from the elements = -7.03 eV/f.u.

Lattice parameters (Å, degrees): 2.8919 8.2920 8.3188 90.07 99.72 99.95
Closest atoms and distances in Å follow each position.
Fractional coordinates of all 16 atoms:
O  0.3136  0.9438  0.6835  2 Mg 1.96, 2 Cu 1.99
O  0.6964  0.6079  0.7748  3 Mg 1.99-2.10, 2 Cu 2.09
O  0.6864  0.0562  0.3165  2 Mg 1.96, 2 Cu 1.99
Cu  0.0985  0.8889  0.3086  5 O 1.99-2.19
Cu  0.6820  0.3096  0.0577  4 O 1.91-2.09
O  0.5445  0.7118  0.3933  3 Mg 1.96-2.07, 2 Cu 2.16-2.19
Mg  0.7082  0.7915  0.6217  4 O 1.96-1.99
O  0.3036  0.3921  0.2252  3 Mg 1.99-2.10, 2 Cu 2.09
Cu  0.9015  0.1111  0.6914  5 O 1.99-2.19
Mg  0.2918  0.2085  0.3783  4 O 1.96-1.99
O  0.4555  0.2882  0.6067  3 Mg 1.96-2.07, 2 Cu 2.16-2.19
Cu  0.3180  0.6904  0.9423  4 O 1.91-2.09
Mg  0.0833  0.4267  0.7278  5 O 2.02-2.10
Mg  0.9167  0.5733  0.2722  5 O 2.02-2.10
O  0.9107  0.7332  0.0890  2 Cu 1.91, 1 Mg 2.02
O  0.0893  0.2668  0.9110  2 Cu 1.91, 1 Mg 2.02


DFT (GGA-PBE) results for a relaxed structure of K2UP3Se9.

Properties
crystal system = triclinic
energy = -4.6734 eV per atom
spin magnetization = 0.5 μB/cell
formation energy from the elements = -13.13 eV/f.u.

Lattice parameters (Å, degrees): 10.2446 10.6167 16.7833 90.04 107.29 91.68
Closest atoms and distances in Å follow each position.
Fractional coordinates of all 60 atoms:
Se  0.2848  0.5323  0.4787  1 P 2.16
Se  0.9687  0.9299  0.1485  1 P 2.26
Se  0.0115  0.7433  0.9859  1 P 2.21
Se  0.0313  0.0701  0.8515  1 P 2.26
P  0.2184  0.5860  0.3494  3 Se 2.16-2.28, 1 P 2.25
Se  0.6425  0.7300  0.0354  1 P 2.21
U  0.8063  0.7222  0.2243  9 Se 2.96-3.21
Se  0.2761  0.0090  0.0681  1 P 2.23
K  0.5524  0.7604  0.5486  8 Se 3.53-3.84
K  0.2958  0.3306  0.1499  8 Se 3.33-3.66
K  0.7042  0.6694  0.8501  8 Se 3.33-3.66
Se  0.2506  0.9829  0.5006  1 P 2.16
P  0.4898  0.4281  0.9462  3 Se 2.21-2.24, 1 P 2.32
P  0.9514  0.5430  0.7266  3 Se 2.16-2.29, 1 P 2.25
Se  0.4662  0.1250  0.8280  1 P 2.27
Se  0.6272  0.4144  0.7200  1 P 2.23
Se  0.8923  0.7374  0.7224  1 P 2.16
U  0.2225  0.7801  0.1684  8 Se 2.94-3.20
Se  0.1077  0.2626  0.2776  1 P 2.16
Se  0.2922  0.6203  0.0369  1 P 2.24
Se  0.1241  0.0203  0.6897  1 P 2.23
P  0.0486  0.4570  0.2734  3 Se 2.16-2.29, 1 P 2.25
Se  0.7239  0.9910  0.9319  1 P 2.23
Se  0.1135  0.5039  0.6673  1 P 2.22
Se  0.9885  0.2567  0.0141  1 P 2.21
P  0.4634  0.9975  0.7188  3 Se 2.17-2.27, 1 P 2.27
K  0.4476  0.2396  0.4514  8 Se 3.53-3.84
Se  0.8865  0.4961  0.3327  1 P 2.22
Se  0.8939  0.2296  0.6745  1 P 2.28
K  0.2479  0.8141  0.8668  7 Se 3.39-3.79
K  0.0286  0.7537  0.5336  6 Se 3.44-3.83
P  0.7816  0.4140  0.6506  3 Se 2.16-2.28, 1 P 2.25
K  0.7521  0.1859  0.1332  7 Se 3.39-3.79
Se  0.8759  0.9797  0.3103  1 P 2.23
U  0.7775  0.2199  0.8316  8 Se 2.94-3.20
U  0.1937  0.2778  0.7757  9 Se 2.96-3.21
Se  0.9941  0.5616  0.1493  1 P 2.29
Se  0.3740  0.5091  0.8242  1 P 2.23
Se  0.3728  0.5856  0.2800  1 P 2.23
Se  0.0059  0.4384  0.8507  1 P 2.29
Se  0.6522  0.0547  0.6869  1 P 2.22
Se  0.4239  0.7961  0.7251  1 P 2.17
Se  0.6260  0.4909  0.1758  1 P 2.23
Se  0.7152  0.4677  0.5213  1 P 2.16
P  0.5366  0.0025  0.2812  3 Se 2.17-2.27, 1 P 2.27
Se  0.2900  0.2763  0.6260  1 P 2.21
P  0.9273  0.9244  0.0086  3 Se 2.21-2.26, 1 P 2.24
P  0.5102  0.5719  0.0538  3 Se 2.21-2.24, 1 P 2.32
Se  0.5761  0.2039  0.2749  1 P 2.17
Se  0.3575  0.2700  0.9646  1 P 2.21
K  0.9714  0.2463  0.4664  6 Se 3.44-3.83
Se  0.5338  0.8750  0.1720  1 P 2.27
P  0.0727  0.0756  0.9914  3 Se 2.21-2.26, 1 P 2.24
Se  0.7078  0.3797  0.9631  1 P 2.24
Se  0.3478  0.9453  0.3131  1 P 2.22
P  0.7241  0.9322  0.3785  3 Se 2.16-2.23, 1 P 2.27
P  0.2759  0.0678  0.6215  3 Se 2.16-2.23, 1 P 2.27
Se  0.1061  0.7704  0.3255  1 P 2.28
Se  0.7100  0.7237  0.3740  1 P 2.21
Se  0.7494  0.0171  0.4994  1 P 2.16


DFT (GGA-PBE) results for a relaxed structure of BaUSi2O8.

Properties
crystal system = orthorhombic
energy = -8.2981 eV per atom
formation energy from the elements = -41.43 eV/f.u.

Lattice parameters (Å, degrees): 8.8713 8.8713 7.7059 90.00 90.00 142.28
Closest atoms and distances in Å follow each position.
Fractional coordinates of all 24 atoms:
O  0.8700  0.5918  0.0375  1 Si 1.64
Ba  0.2110  0.7890  0.7500  10 O 2.96-3.28
Si  0.4055  0.5945  0.0404  4 O 1.62-1.64
U  0.1220  0.8780  0.2500  2 O 1.83-1.86
O  0.5918  0.8700  0.9625  1 Si 1.64
Si  0.4055  0.5945  0.4596  4 O 1.62-1.64
Si  0.5945  0.4055  0.5404  4 O 1.62-1.64
O  0.6062  0.3938  0.7500  2 Si 1.63
O  0.1300  0.4082  0.5375  1 Si 1.64
O  0.4082  0.1300  0.0375  1 Si 1.64
O  0.9871  0.0129  0.7500  1 U 1.83
O  0.4082  0.1300  0.4625  1 Si 1.64
O  0.3938  0.6062  0.2500  2 Si 1.63
O  0.5918  0.8700  0.5375  1 Si 1.64
O  0.1300  0.4082  0.9625  1 Si 1.64
O  0.2330  0.7670  0.2500  1 U 1.86
Si  0.5945  0.4055  0.9596  4 O 1.62-1.64
O  0.7670  0.2330  0.7500  1 U 1.86
O  0.5000  0.5000  0.5000  2 Si 1.62
U  0.8780  0.1220  0.7500  2 O 1.83-1.86
O  0.5000  0.5000  0.0000  2 Si 1.62
Ba  0.7890  0.2110  0.2500  10 O 2.96-3.28
O  0.0129  0.9871  0.2500  1 U 1.83
O  0.8700  0.5918  0.4625  1 Si 1.64


DFT (GGA-PBE) results for a relaxed structure of ThCu6.

Properties
crystal system = orthorhombic
energy = -4.7136 eV per atom
formation energy from the elements = -0.99 eV/f.u.

Lattice parameters (Å, degrees): 5.0784 8.1059 10.1191 90.00 90.00 90.00
Closest atoms and distances in Å follow each position.
Fractional coordinates of all 28 atoms:
Cu  0.4948  0.4359  0.8085  9 Cu 2.45-2.70
Cu  0.0052  0.4359  0.8085  9 Cu 2.45-2.70
Th  0.2500  0.7601  0.9353  13 Cu 2.90-3.23
Th  0.2500  0.2601  0.5647  13 Cu 2.90-3.23
Cu  0.7500  0.9377  0.9036  5 Cu 2.48-2.62
Cu  0.9948  0.5641  0.1915  9 Cu 2.45-2.70
Cu  0.7500  0.4377  0.5964  5 Cu 2.48-2.62
Cu  0.5052  0.5641  0.1915  9 Cu 2.45-2.70
Th  0.7500  0.7399  0.4353  13 Cu 2.90-3.23
Th  0.7500  0.2399  0.0647  13 Cu 2.90-3.23
Cu  0.2500  0.6461  0.6427  8 Cu 2.51-2.75
Cu  0.7500  0.6828  0.7439  9 Cu 2.47-2.75
Cu  0.2500  0.1461  0.8573  8 Cu 2.51-2.75
Cu  0.2500  0.9014  0.4846  6 Cu 2.45-2.62
Cu  0.2500  0.3172  0.2561  9 Cu 2.47-2.75
Cu  0.7500  0.1828  0.7561  9 Cu 2.47-2.75
Cu  0.7500  0.3539  0.3573  8 Cu 2.51-2.75
Cu  0.5052  0.0641  0.3085  9 Cu 2.45-2.70
Cu  0.2500  0.5623  0.4036  5 Cu 2.48-2.62
Cu  0.7500  0.5986  0.9846  6 Cu 2.45-2.62
Cu  0.2500  0.4014  0.0154  6 Cu 2.45-2.62
Cu  0.2500  0.0623  0.0964  5 Cu 2.48-2.62
Cu  0.9948  0.0641  0.3085  9 Cu 2.45-2.70
Cu  0.2500  0.8172  0.2439  9 Cu 2.47-2.75
Cu  0.4948  0.9359  0.6915  9 Cu 2.45-2.70
Cu  0.7500  0.0986  0.5154  6 Cu 2.45-2.62
Cu  0.7500  0.8539  0.1427  8 Cu 2.51-2.75
Cu  0.0052  0.9359  0.6915  9 Cu 2.45-2.70